(1)
## CoB10H19C11 (PBE)

Data for a relaxed CoB10H19C11 crystal.

Cell lengths 7.2416, 9.2337, 12.2156 Å; angles 75.68, 88.15, 78.51 degrees
With the nearest neighbours (Å) after each atom.
Space group P-1 (No. 2)
One atom of each set of equivalent atoms:
Co1 0.2398 0.4377 0.2706 x2  7 C 2.01-2.20, 4 B 2.12-2.24
B1 0.0263 0.7943 0.1524 x2  1 H 1.20
B2 0.0428 0.6469 0.2763 x2  1 H 1.20
B3 0.0715 0.6010 0.1403 x2  1 H 1.20
B4 0.1586 0.8009 0.2684 x2  1 H 1.20
B5 0.1792 0.7417 0.0469 x2  1 H 1.19
B6 0.2522 0.8501 0.1340 x2  1 H 1.20
B7 0.2542 0.6199 0.3596 x2  1 H 1.20
B8 0.4126 0.7079 0.0907 x2  1 H 1.19
B9 0.4148 0.7263 0.2420 x2  1 H 1.20
B10 0.4817 0.5299 0.1936 x2  1 H 1.20
H1 0.0433 0.4475 0.9007 x2  1 B 1.20
H2 0.0959 0.3693 0.6690 x2  1 B 1.20
H3 0.1013 0.3274 0.4864 x2  1 C 1.09
H4 0.1062 0.6504 0.6996 x2  1 C 1.09
H5 0.1114 0.8952 0.3215 x2  1 B 1.20
H6 0.1214 0.1210 0.8757 x2  1 B 1.20
H7 0.1241 0.2493 0.1464 x2  1 C 1.09
H8 0.1400 0.7803 0.9485 x2  1 B 1.19
H9 0.1828 0.9670 0.7207 x2  1 C 1.09
H10 0.1942 0.9117 0.5312 x2  1 C 1.09
H11 0.2424 0.6115 0.4592 x2  1 B 1.20
H12 0.2743 0.9783 0.0977 x2  1 B 1.20
H13 0.3314 0.4944 0.0399 x2  1 C 1.09
H14 0.3730 0.5431 0.8290 x2  1 B 1.20
H15 0.4492 0.5192 0.6214 x2  1 C 1.09
H16 0.4631 0.2192 0.7305 x2  1 B 1.20
H17 0.4651 0.2719 0.9760 x2  1 B 1.19
H18 0.4681 0.8977 0.8439 x2  1 C 1.09
H19 0.4923 0.7949 0.4556 x2  1 C 1.09
C1 0.0441 0.3048 0.3123 x2  1 H 1.09
C2 0.1545 0.2948 0.4099 x2  1 H 1.09
C3 0.1670 0.2522 0.2302 x2  1 H 1.09
C4 0.2973 0.5641 0.1010 x2  1 H 1.09
C5 0.3161 0.9112 0.6919 x2  1 H 1.09
C6 0.3231 0.8804 0.5829 x2  1 H 1.09
C7 0.3461 0.2232 0.3921 x2  3 C 1.42-1.45
C8 0.3535 0.1958 0.2800 x2  3 C 1.42-1.45
C9 0.4377 0.5372 0.3166 x2  1 H 1.09
C10 0.4740 0.8734 0.7608 x2  1 H 1.09
C11 0.4877 0.8147 0.5401 x2  1 H 1.09

- Spin magnetization: 0.00 Bohr magnetons per cell


(2)
## EuMgGa (PBE)

Data for a relaxed EuMgGa crystal.

Cell lengths 7.8522, 4.9497, 7.8980 Å; angles 90.00, 90.00, 90.00 degrees
With the nearest neighbours (Å) after each atom.
Space group Pnma (No. 62)
One atom of each set of equivalent atoms:
Eu1 0.0204 0.2500 0.2092 x4  4 Ga 3.18-3.30, 5 Mg 3.32-3.46
Mg1 0.1909 0.2500 0.6047 x4  4 Ga 2.77-2.97
Ga1 0.1850 0.7500 0.4327 x4  4 Mg 2.77-2.97

- Spin magnetization: 28.35 Bohr magnetons per cell


(3)
## Ca3In3N5 (PBE)

Data for a relaxed Ca3In3N5 crystal.

Cell lengths 6.5238, 7.2138, 8.9004 Å; angles 104.74, 111.15, 93.79 degrees
With the nearest neighbours (Å) after each atom.
Space group P-1 (No. 2)
One atom of each set of equivalent atoms:
Ca1 0.1098 0.1036 0.1965 x2  3 N 2.40-2.50
Ca2 0.1846 0.3616 0.8941 x2  5 N 2.43-2.63
Ca3 0.3180 0.9269 0.5928 x2  4 N 2.36-2.48
In1 0.2251 0.4404 0.5622 x2  4 N 2.19-2.26
In2 0.3278 0.6513 0.2738 x2  4 N 2.20-2.28
In3 0.3905 0.8057 0.9637 x2  4 N 2.17-2.27
N1 0.0896 0.6165 0.3938 x2  3 In 2.19-2.26, 1 Ca 2.45
N2 0.1406 0.7618 0.0653 x2  2 In 2.17-2.20, 1 Ca 2.43
N3 0.2649 0.0332 0.8473 x2  2 In 2.21-2.27, 3 Ca 2.36-2.43
N4 0.3724 0.1885 0.4836 x2  2 In 2.19-2.28, 2 Ca 2.39-2.40
N5 0.4780 0.5509 0.8216 x2  3 In 2.19-2.20

- Spin magnetization: 0.00 Bohr magnetons per cell


The following E_form values (in meV/atom) correspond, in order, to the records above: -52, -338, -454.